No. 1
First-principles (PBE) data for a geometry-optimized SiO2 structure, as listed in Materials Project.

Output
- DFT formation energy (eV/atom) = -3.2561
- mass density (g/cm³) = 1.8
- calculated total energy (eV per formula unit) = -23.72
- total moment (Bohr magnetons per cell) = 0.00
- space-group type = No. 74

The structure in CIF format:
```
data_SiO2
_symmetry_space_group_name_H-M 'P 1'
_symmetry_Int_Tables_number 1
_cell_length_a 14.074
_cell_length_b 14.074
_cell_length_c 14.074
_cell_angle_alpha 118.69
_cell_angle_beta 114.98
_cell_angle_gamma 95.61
loop_
_symmetry_equiv_pos_as_xyz
'x,y,z'
loop_
_atom_site_label
_atom_site_type_symbol
_atom_site_fract_x
_atom_site_fract_y
_atom_site_fract_z
Si1 Si 0.435 0.298 0.066
Si2 Si 0.680 0.472 0.306
Si3 Si 0.180 0.874 0.208
Si4 Si 0.666 0.874 0.694
Si5 Si 0.273 0.733 0.671
Si6 Si 0.731 0.731 0.500
Si7 Si 0.063 0.733 0.461
Si8 Si 0.565 0.702 0.934
Si9 Si 0.563 0.102 0.329
Si10 Si 0.935 0.869 0.137
Si11 Si 0.297 0.165 0.661
Si12 Si 0.203 0.865 0.868
Si13 Si 0.320 0.528 0.694
Si14 Si 0.231 0.731 0.000
Si15 Si 0.232 0.298 0.863
Si16 Si 0.065 0.131 0.863
Si17 Si 0.437 0.898 0.671
Si18 Si 0.834 0.528 0.208
Si19 Si 0.820 0.126 0.792
Si20 Si 0.003 0.135 0.339
Si21 Si 0.334 0.126 0.306
Si22 Si 0.768 0.702 0.137
Si23 Si 0.727 0.267 0.329
Si24 Si 0.497 0.835 0.132
Si25 Si 0.703 0.835 0.339
Si26 Si 0.269 0.269 0.500
Si27 Si 0.503 0.165 0.868
Si28 Si 0.268 0.131 0.066
Si29 Si 0.797 0.135 0.132
Si30 Si 0.769 0.269 0.000
Si31 Si 0.166 0.472 0.792
Si32 Si 0.937 0.267 0.539
Si33 Si 0.773 0.102 0.539
Si34 Si 0.732 0.869 0.934
Si35 Si 0.997 0.865 0.661
Si36 Si 0.227 0.898 0.461
O1 O 0.145 0.134 0.989
O2 O 0.355 0.345 0.989
O3 O 0.213 0.410 0.864
O4 O 0.424 0.184 0.761
O5 O 0.029 0.005 0.733
O6 O 0.014 0.816 0.542
O7 O 0.661 0.771 0.569
O8 O 0.529 0.796 0.024
O9 O 0.545 0.410 0.197
O10 O 0.157 0.704 0.547
O11 O 0.713 0.849 0.803
O12 O 0.222 0.872 0.333
O13 O 0.383 0.801 0.684
O14 O 0.298 0.408 0.569
O15 O 0.287 0.151 0.197
O16 O 0.249 0.000 0.249
O17 O 0.202 0.771 0.110
O18 O 0.839 0.408 0.110
O19 O 0.971 0.995 0.267
O20 O 0.702 0.592 0.431
O21 O 0.539 0.872 0.650
O22 O 0.455 0.590 0.803
O23 O 0.787 0.590 0.136
O24 O 0.778 0.128 0.667
O25 O 0.274 0.816 0.802
O26 O 0.657 0.110 0.453
O27 O 0.722 0.389 0.350
O28 O 0.632 0.766 0.899
O29 O 0.134 0.197 0.391
O30 O 0.039 0.389 0.667
O31 O 0.726 0.184 0.198
O32 O 0.514 0.973 0.198
O33 O 0.076 0.837 0.761
O34 O 0.693 0.757 0.391
O35 O 0.955 0.151 0.864
O36 O 0.843 0.296 0.453
O37 O 0.772 0.796 0.267
O38 O 0.307 0.243 0.609
O39 O 0.272 0.005 0.976
O40 O 0.486 0.027 0.802
O41 O 0.634 0.243 0.937
O42 O 0.045 0.849 0.136
O43 O 0.471 0.204 0.976
O44 O 0.866 0.803 0.609
O45 O 0.961 0.611 0.333
O46 O 0.807 0.197 0.063
O47 O 0.798 0.229 0.890
O48 O 0.924 0.163 0.239
O49 O 0.774 0.973 0.458
O50 O 0.117 0.801 0.418
O51 O 0.226 0.027 0.542
O52 O 0.366 0.757 0.063
O53 O 0.645 0.655 0.011
O54 O 0.161 0.592 0.890
O55 O 0.749 0.500 0.249
O56 O 0.193 0.803 0.937
O57 O 0.728 0.995 0.024
O58 O 0.883 0.199 0.582
O59 O 0.751 0.000 0.751
O60 O 0.132 0.234 0.866
O61 O 0.278 0.611 0.650
O62 O 0.343 0.890 0.547
O63 O 0.617 0.199 0.316
O64 O 0.461 0.128 0.350
O65 O 0.228 0.204 0.733
O66 O 0.855 0.866 0.011
O67 O 0.251 0.500 0.751
O68 O 0.368 0.234 0.101
O69 O 0.576 0.816 0.239
O70 O 0.986 0.184 0.458
O71 O 0.339 0.229 0.431
O72 O 0.868 0.766 0.134
```

***

No. 2
First-principles (PBE) data for a geometry-optimized TaH6C2SeCl5 structure, as listed in Materials Project.

Output
- DFT formation energy (eV/atom) = -0.8458
- mass density (g/cm³) = 2.5
- calculated total energy (eV per formula unit) = -73.03
- total moment (Bohr magnetons per cell) = 0.00
- space-group type = No. 36

The structure in CIF format:
```
data_TaH6C2SeCl5
_symmetry_space_group_name_H-M 'P 1'
_symmetry_Int_Tables_number 1
_cell_length_a 7.602
_cell_length_b 7.602
_cell_length_c 11.490
_cell_angle_alpha 90.00
_cell_angle_beta 90.00
_cell_angle_gamma 112.64
loop_
_symmetry_equiv_pos_as_xyz
'x,y,z'
loop_
_atom_site_label
_atom_site_type_symbol
_atom_site_fract_x
_atom_site_fract_y
_atom_site_fract_z
Ta1 Ta 0.789 0.211 0.694
Ta2 Ta 0.211 0.789 0.194
H1 H 0.457 0.213 0.441
H2 H 0.787 0.543 0.441
H3 H 0.543 0.787 0.941
H4 H 0.213 0.457 0.941
H5 H 0.282 0.151 0.557
H6 H 0.849 0.718 0.557
H7 H 0.718 0.849 0.057
H8 H 0.151 0.282 0.057
H9 H 0.317 0.356 0.467
H10 H 0.644 0.683 0.467
H11 H 0.683 0.644 0.967
H12 H 0.356 0.317 0.967
C1 C 0.385 0.267 0.507
C2 C 0.733 0.615 0.507
C3 C 0.615 0.733 0.007
C4 C 0.267 0.385 0.007
Se1 Se 0.572 0.428 0.619
Se2 Se 0.428 0.572 0.119
Cl1 Cl 0.965 0.035 0.750
Cl2 Cl 0.035 0.965 0.250
Cl3 Cl 0.492 0.955 0.691
Cl4 Cl 0.045 0.508 0.691
Cl5 Cl 0.508 0.045 0.191
Cl6 Cl 0.955 0.492 0.191
Cl7 Cl 0.825 0.175 0.494
Cl8 Cl 0.175 0.825 0.994
Cl9 Cl 0.720 0.280 0.883
Cl10 Cl 0.280 0.720 0.383
```

***

No. 3
First-principles (PBE) data for a geometry-optimized Ca11Sb10 structure, as listed in Materials Project.

Output
- DFT formation energy (eV/atom) = -1.0371
- mass density (g/cm³) = 4.4
- calculated total energy (eV per formula unit) = -83.21
- total moment (Bohr magnetons per cell) = 0.00
- space-group type = No. 139

The structure in CIF format:
```
data_Ca11Sb10
_symmetry_space_group_name_H-M 'P 1'
_symmetry_Int_Tables_number 1
_cell_length_a 12.176
_cell_length_b 12.176
_cell_length_c 12.176
_cell_angle_alpha 120.60
_cell_angle_beta 120.60
_cell_angle_gamma 88.97
loop_
_symmetry_equiv_pos_as_xyz
'x,y,z'
loop_
_atom_site_label
_atom_site_type_symbol
_atom_site_fract_x
_atom_site_fract_y
_atom_site_fract_z
Ca1 Ca 0.441 0.189 0.252
Ca2 Ca 0.189 0.938 0.748
Ca3 Ca 0.189 0.441 0.252
Ca4 Ca 0.559 0.811 0.748
Ca5 Ca 0.062 0.811 0.252
Ca6 Ca 0.811 0.062 0.252
Ca7 Ca 0.811 0.559 0.748
Ca8 Ca 0.938 0.189 0.748
Ca9 Ca 0.164 0.164 0.329
Ca10 Ca 0.164 0.836 0.000
Ca11 Ca 0.836 0.164 0.000
Ca12 Ca 0.836 0.836 0.671
Ca13 Ca 0.335 0.335 0.000
Ca14 Ca 0.665 0.665 0.000
Ca15 Ca 0.736 0.397 0.339
Ca16 Ca 0.397 0.057 0.661
Ca17 Ca 0.397 0.736 0.339
Ca18 Ca 0.264 0.603 0.661
Ca19 Ca 0.943 0.603 0.339
Ca20 Ca 0.603 0.943 0.339
Ca21 Ca 0.603 0.264 0.661
Ca22 Ca 0.057 0.397 0.661
Sb1 Sb 0.000 0.348 0.348
Sb2 Sb 0.348 0.000 0.348
Sb3 Sb 0.652 0.000 0.652
Sb4 Sb 0.000 0.652 0.652
Sb5 Sb 0.128 0.128 0.000
Sb6 Sb 0.872 0.872 0.000
Sb7 Sb 0.374 0.374 0.747
Sb8 Sb 0.374 0.626 0.000
Sb9 Sb 0.626 0.374 0.000
Sb10 Sb 0.626 0.626 0.253
Sb11 Sb 0.750 0.250 0.500
Sb12 Sb 0.250 0.750 0.500
Sb13 Sb 0.531 0.531 0.412
Sb14 Sb 0.531 0.118 0.000
Sb15 Sb 0.118 0.531 0.000
Sb16 Sb 0.469 0.882 0.000
Sb17 Sb 0.882 0.469 0.000
Sb18 Sb 0.882 0.882 0.412
Sb19 Sb 0.469 0.469 0.588
Sb20 Sb 0.118 0.118 0.588
```

***

No. 4
First-principles (PBE) data for a geometry-optimized LaMg6BO8 structure, as listed in Materials Project.

Output
- DFT formation energy (eV/atom) = -2.5013
- mass density (g/cm³) = 3.9
- relative energy among the computed polymorphs (meV per atom) = 0
- calculated total energy (eV per formula unit) = -95.32
- total moment (Bohr magnetons per cell) = 0.02
- space-group type = No. 123

The structure in CIF format:
```
data_LaMg6BO8
_symmetry_space_group_name_H-M 'P 1'
_symmetry_Int_Tables_number 1
_cell_length_a 9.105
_cell_length_b 4.463
_cell_length_c 4.463
_cell_angle_alpha 90.00
_cell_angle_beta 90.00
_cell_angle_gamma 90.00
loop_
_symmetry_equiv_pos_as_xyz
'x,y,z'
loop_
_atom_site_label
_atom_site_type_symbol
_atom_site_fract_x
_atom_site_fract_y
_atom_site_fract_z
La1 La 0.000 0.000 0.000
Mg1 Mg 0.500 0.000 0.000
Mg2 Mg 0.500 0.500 0.500
Mg3 Mg 0.271 0.000 0.500
Mg4 Mg 0.729 0.000 0.500
Mg5 Mg 0.271 0.500 0.000
Mg6 Mg 0.729 0.500 0.000
B1 B 0.000 0.500 0.500
O1 O 0.272 0.000 0.000
O2 O 0.728 0.000 0.000
O3 O 0.275 0.500 0.500
O4 O 0.725 0.500 0.500
O5 O 0.000 0.000 0.500
O6 O 0.500 0.000 0.500
O7 O 0.000 0.500 0.000
O8 O 0.500 0.500 0.000
```